Record 1
BaEu2PtO5 (PBE, relaxed); space group = P-4b2, No. 117; ΔH_f (0 K) = -2.66 eV per atom; raw total energy = -8.195 eV/atom; theoretical density = 8.57 g cm⁻³
1.0
6.816 0.000 0.000
0.000 6.816 0.000
0.000 0.000 5.974
Ba Eu Pt O
2 4 2 10
direct
0.000 0.000 0.000 Ba
0.500 0.500 0.000 Ba
0.178 0.322 0.500 Eu
0.322 0.822 0.500 Eu
0.678 0.178 0.500 Eu
0.822 0.678 0.500 Eu
0.000 0.500 0.000 Pt
0.500 0.000 0.000 Pt
0.000 0.000 0.500 O
0.138 0.643 0.246 O
0.143 0.638 0.754 O
0.357 0.138 0.754 O
0.362 0.143 0.246 O
0.500 0.500 0.500 O
0.638 0.857 0.246 O
0.643 0.862 0.754 O
0.857 0.362 0.754 O
0.862 0.357 0.246 O

---

Record 2
Mg6CdMo (PBE, relaxed); relative energy among the computed polymorphs = 7.7 meV/atom; ΔH_f (0 K) = 0.18 eV per atom; raw total energy = -2.488 eV/atom; theoretical density = 3.60 g cm⁻³
1.0
4.933 0.000 0.000
0.000 6.195 0.000
0.000 0.000 10.704
Mg Mo Cd
12 2 2
direct
0.500 0.763 0.912 Mg
0.500 0.237 0.912 Mg
0.000 0.248 0.583 Mg
0.000 0.252 0.083 Mg
0.000 0.752 0.583 Mg
0.500 0.500 0.667 Mg
0.000 0.748 0.083 Mg
0.500 0.263 0.412 Mg
0.500 0.737 0.412 Mg
0.000 0.000 0.335 Mg
0.000 0.500 0.835 Mg
0.500 0.000 0.167 Mg
0.000 0.000 0.837 Mo
0.000 0.500 0.337 Mo
0.500 0.500 0.173 Cd
0.500 0.000 0.673 Cd

---

Record 3
Er2FeC4 (PBE, relaxed); space group = Ibam, No. 72; ΔH_f (0 K) = -0.31 eV per atom; raw total energy = -8.097 eV/atom; theoretical density = 8.23 g cm⁻³
1.0
-3.730 4.749 2.497
3.730 -4.749 2.497
3.730 4.749 -2.497
Er Fe C
4 2 8
direct
0.145 0.156 0.300 Er
0.355 0.656 0.011 Er
0.645 0.344 0.989 Er
0.855 0.844 0.700 Er
0.250 0.750 0.500 Fe
0.750 0.250 0.500 Fe
0.078 0.666 0.744 C
0.129 0.839 0.968 C
0.371 0.339 0.709 C
0.422 0.166 0.588 C
0.578 0.834 0.412 C
0.629 0.661 0.291 C
0.871 0.161 0.032 C
0.922 0.334 0.256 C

---

Record 4
TbTaO4 (PBE, relaxed); space group = P2/c, No. 13; ΔH_f (0 K) = -3.73 eV per atom; raw total energy = -9.322 eV/atom; theoretical density = 8.80 g cm⁻³
1.0
5.171 0.000 0.000
0.000 5.535 0.000
-0.622 0.000 5.327
Tb Ta O
2 2 8
direct
0.000 0.233 0.250 Tb
0.000 0.767 0.750 Tb
0.500 0.308 0.750 Ta
0.500 0.692 0.250 Ta
0.250 0.087 0.602 O
0.250 0.913 0.102 O
0.269 0.436 0.994 O
0.269 0.564 0.494 O
0.731 0.436 0.506 O
0.731 0.564 0.006 O
0.750 0.087 0.898 O
0.750 0.913 0.398 O

---

Record 5
ScCdNi4 (PBE, relaxed); space group = F-43m, No. 216; ΔH_f (0 K) = -0.36 eV per atom; raw total energy = -5.427 eV/atom; theoretical density = 7.90 g cm⁻³
1.0
0.000 3.455 3.455
3.455 0.000 3.455
3.455 3.455 0.000
Sc Cd Ni
1 1 4
direct
0.000 0.000 0.000 Sc
0.750 0.750 0.750 Cd
0.376 0.376 0.376 Ni
0.376 0.376 0.873 Ni
0.376 0.873 0.376 Ni
0.873 0.376 0.376 Ni

---

Record 6
Tm3Ge13Rh4 (PBE, relaxed); space group = Pm-3n, No. 223; ΔH_f (0 K) = -0.52 eV per atom; raw total energy = -5.671 eV/atom; theoretical density = 8.55 g cm⁻³
1.0
8.977 0.000 0.000
0.000 8.977 0.000
0.000 0.000 8.977
Tm Ge Rh
6 26 8
direct
0.000 0.250 0.500 Tm
0.000 0.750 0.500 Tm
0.250 0.500 0.000 Tm
0.500 0.000 0.250 Tm
0.500 0.000 0.750 Tm
0.750 0.500 0.000 Tm
0.000 0.000 0.000 Ge
0.000 0.311 0.147 Ge
0.000 0.311 0.853 Ge
0.000 0.689 0.147 Ge
0.000 0.689 0.853 Ge
0.147 0.000 0.311 Ge
0.147 0.000 0.689 Ge
0.189 0.500 0.353 Ge
0.189 0.500 0.647 Ge
0.311 0.147 0.000 Ge
0.311 0.853 0.000 Ge
0.353 0.189 0.500 Ge
0.353 0.811 0.500 Ge
0.500 0.353 0.189 Ge
0.500 0.353 0.811 Ge
0.500 0.500 0.500 Ge
0.500 0.647 0.189 Ge
0.500 0.647 0.811 Ge
0.647 0.189 0.500 Ge
0.647 0.811 0.500 Ge
0.689 0.147 0.000 Ge
0.689 0.853 0.000 Ge
0.811 0.500 0.353 Ge
0.811 0.500 0.647 Ge
0.853 0.000 0.311 Ge
0.853 0.000 0.689 Ge
0.250 0.250 0.250 Rh
0.250 0.250 0.750 Rh
0.250 0.750 0.250 Rh
0.250 0.750 0.750 Rh
0.750 0.250 0.250 Rh
0.750 0.250 0.750 Rh
0.750 0.750 0.250 Rh
0.750 0.750 0.750 Rh

---

Record 7
Na6NbIn3Si4S2O24 (PBE, relaxed); space group = P1, No. 1; ΔH_f (0 K) = -2.47 eV per atom; raw total energy = -6.433 eV/atom; theoretical density = 3.39 g cm⁻³
1.0
9.213 0.000 0.000
-4.579 7.999 0.000
-0.029 -0.145 22.629
Na Nb In Si S O
18 3 9 12 6 72
direct
0.000 0.000 0.000 Na
0.003 0.959 0.322 Na
0.011 0.298 0.579 Na
0.018 0.673 0.823 Na
0.036 0.338 0.074 Na
0.064 0.684 0.162 Na
0.326 0.307 0.150 Na
0.342 0.615 0.994 Na
0.351 0.357 0.490 Na
0.370 0.995 0.237 Na
0.386 0.986 0.740 Na
0.400 0.701 0.319 Na
0.657 0.636 0.903 Na
0.692 0.291 0.662 Na
0.700 0.653 0.401 Na
0.731 0.387 0.981 Na
0.745 0.018 0.497 Na
0.978 0.624 0.482 Na
0.027 0.330 0.229 Nb
0.355 0.004 0.888 Nb
0.359 0.018 0.385 Nb
0.014 0.331 0.729 In
0.017 0.328 0.424 In
0.032 0.347 0.922 In
0.343 0.991 0.094 In
0.368 0.004 0.594 In
0.675 0.671 0.761 In
0.688 0.671 0.059 In
0.692 0.671 0.259 In
0.702 0.682 0.557 In
0.026 0.632 0.329 Si
0.057 0.701 0.993 Si
0.069 0.002 0.493 Si
0.323 0.634 0.829 Si
0.324 0.342 0.329 Si
0.354 0.294 0.995 Si
0.387 0.664 0.160 Si
0.654 0.299 0.495 Si
0.696 0.970 0.657 Si
0.720 0.337 0.825 Si
0.726 0.040 0.329 Si
0.987 0.970 0.159 Si
0.029 0.036 0.828 S
0.357 0.709 0.490 S
0.391 0.370 0.657 S
0.644 0.001 0.990 S
0.697 0.368 0.158 S
0.991 0.667 0.659 S
0.004 0.159 0.169 O
0.006 0.109 0.884 O
0.006 0.514 0.661 O
0.007 0.535 0.390 O
0.022 0.508 0.989 O
0.051 0.170 0.491 O
0.051 0.529 0.272 O
0.054 0.140 0.776 O
0.158 0.819 0.656 O
0.168 0.826 0.937 O
0.168 0.984 0.432 O
0.170 0.773 0.052 O
0.179 0.300 0.988 O
0.183 0.010 0.159 O
0.185 0.542 0.777 O
0.186 0.023 0.549 O
0.187 0.023 0.833 O
0.192 0.494 0.167 O
0.193 0.309 0.272 O
0.208 0.816 0.332 O
0.209 0.538 0.487 O
0.225 0.357 0.664 O
0.247 0.371 0.389 O
0.255 0.541 0.893 O
0.322 0.159 0.330 O
0.332 0.824 0.835 O
0.334 0.785 0.544 O
0.339 0.197 0.057 O
0.361 0.827 0.156 O
0.371 0.180 0.941 O
0.373 0.200 0.656 O
0.373 0.811 0.437 O
0.460 0.618 0.100 O
0.467 0.461 0.601 O
0.490 0.678 0.219 O
0.504 0.454 0.708 O
0.507 0.496 0.319 O
0.512 0.671 0.824 O
0.512 0.695 0.491 O
0.524 0.186 0.438 O
0.524 0.480 0.993 O
0.528 0.995 0.658 O
0.529 0.171 0.838 O
0.540 0.026 0.332 O
0.540 0.987 0.937 O
0.551 0.198 0.153 O
0.574 0.031 0.044 O
0.585 0.188 0.554 O
0.648 0.841 0.992 O
0.651 0.477 0.495 O
0.666 0.449 0.209 O
0.682 0.856 0.712 O
0.698 0.854 0.320 O
0.708 0.892 0.592 O
0.717 0.513 0.820 O
0.726 0.468 0.103 O
0.789 0.294 0.766 O
0.817 0.144 0.984 O
0.833 0.104 0.390 O
0.833 0.363 0.885 O
0.836 0.170 0.274 O
0.844 0.330 0.488 O
0.854 0.360 0.166 O
0.862 0.162 0.661 O
0.874 0.670 0.321 O
0.877 0.701 0.993 O
0.885 0.892 0.096 O
0.886 0.829 0.490 O
0.887 0.644 0.605 O
0.892 0.863 0.823 O
0.906 0.680 0.713 O
0.907 0.843 0.214 O

---

Record 8
Rb3DyO3 (PBE, relaxed); space group = C2/m, No. 12; relative energy among the computed polymorphs = 10.8 meV/atom; ΔH_f (0 K) = -2.20 eV per atom; raw total energy = -5.108 eV/atom; theoretical density = 4.43 g cm⁻³
1.0
3.883 -6.255 0.000
3.883 6.255 0.000
-1.143 0.000 7.214
Rb Dy O
6 2 6
direct
0.206 0.794 0.000 Rb
0.260 0.740 0.500 Rb
0.363 0.363 0.143 Rb
0.637 0.637 0.857 Rb
0.740 0.260 0.500 Rb
0.794 0.206 0.000 Rb
0.178 0.178 0.650 Dy
0.822 0.822 0.350 Dy
0.103 0.103 0.344 O
0.169 0.447 0.769 O
0.447 0.169 0.769 O
0.553 0.831 0.231 O
0.831 0.553 0.231 O
0.897 0.897 0.656 O

---

Record 9
BaH4O3 (PBE, relaxed); space group = P2_1/m, No. 11; relative energy among the computed polymorphs = 7.1 meV/atom; ΔH_f (0 K) = -1.77 eV per atom; raw total energy = -5.304 eV/atom; theoretical density = 3.40 g cm⁻³
1.0
6.465 0.000 0.000
0.000 4.224 0.000
-2.494 0.000 6.771
Ba H O
2 8 6
direct
0.146 0.250 0.281 Ba
0.854 0.750 0.719 Ba
0.227 0.250 0.835 H
0.316 0.561 0.660 H
0.316 0.939 0.660 H
0.347 0.750 0.056 H
0.653 0.250 0.944 H
0.684 0.061 0.340 H
0.684 0.439 0.340 H
0.773 0.750 0.165 H
0.172 0.250 0.691 O
0.202 0.750 0.068 O
0.386 0.750 0.619 O
0.614 0.250 0.381 O
0.798 0.250 0.932 O
0.828 0.750 0.309 O

---

Record 10
Sn6P3NO14 (PBE, relaxed); space group = Pbcn, No. 60; ΔH_f (0 K) = -1.77 eV per atom; raw total energy = -6.279 eV/atom; theoretical density = 3.97 g cm⁻³
1.0
7.030 0.000 0.000
0.000 19.733 0.000
0.000 0.000 12.576
Sn P N O
24 12 4 56
direct
0.027 0.209 0.007 Sn
0.027 0.791 0.507 Sn
0.183 0.051 0.390 Sn
0.183 0.949 0.890 Sn
0.196 0.406 0.154 Sn
0.196 0.594 0.654 Sn
0.304 0.094 0.654 Sn
0.304 0.906 0.154 Sn
0.317 0.449 0.890 Sn
0.317 0.551 0.390 Sn
0.473 0.291 0.507 Sn
0.473 0.709 0.007 Sn
0.527 0.291 0.993 Sn
0.527 0.709 0.493 Sn
0.683 0.449 0.610 Sn
0.683 0.551 0.110 Sn
0.696 0.094 0.846 Sn
0.696 0.906 0.346 Sn
0.804 0.406 0.346 Sn
0.804 0.594 0.846 Sn
0.817 0.051 0.110 Sn
0.817 0.949 0.610 Sn
0.973 0.209 0.493 Sn
0.973 0.791 0.993 Sn
0.000 0.257 0.250 P
0.000 0.743 0.750 P
0.148 0.419 0.535 P
0.148 0.581 0.035 P
0.352 0.081 0.035 P
0.352 0.919 0.535 P
0.500 0.243 0.750 P
0.500 0.757 0.250 P
0.648 0.081 0.465 P
0.648 0.919 0.965 P
0.852 0.419 0.965 P
0.852 0.581 0.465 P
0.000 0.307 0.750 N
0.000 0.693 0.250 N
0.500 0.193 0.250 N
0.500 0.807 0.750 N
0.013 0.437 0.887 O
0.013 0.563 0.387 O
0.074 0.403 0.420 O
0.074 0.597 0.920 O
0.093 0.212 0.337 O
0.093 0.788 0.837 O
0.150 0.121 0.518 O
0.150 0.879 0.018 O
0.157 0.301 0.195 O
0.157 0.699 0.695 O
0.218 0.017 0.027 O
0.218 0.983 0.527 O
0.235 0.141 0.076 O
0.235 0.859 0.576 O
0.265 0.359 0.576 O
0.265 0.641 0.076 O
0.282 0.483 0.527 O
0.282 0.517 0.027 O
0.343 0.199 0.695 O
0.343 0.801 0.195 O
0.350 0.379 0.018 O
0.350 0.621 0.518 O
0.407 0.288 0.837 O
0.407 0.712 0.337 O
0.426 0.097 0.920 O
0.426 0.903 0.420 O
0.487 0.063 0.387 O
0.487 0.937 0.887 O
0.513 0.063 0.113 O
0.513 0.937 0.613 O
0.574 0.097 0.580 O
0.574 0.903 0.080 O
0.593 0.288 0.663 O
0.593 0.712 0.163 O
0.650 0.379 0.482 O
0.650 0.621 0.982 O
0.657 0.199 0.805 O
0.657 0.801 0.305 O
0.718 0.483 0.973 O
0.718 0.517 0.473 O
0.735 0.359 0.924 O
0.735 0.641 0.424 O
0.765 0.141 0.424 O
0.765 0.859 0.924 O
0.782 0.017 0.473 O
0.782 0.983 0.973 O
0.843 0.301 0.305 O
0.843 0.699 0.805 O
0.850 0.121 0.982 O
0.850 0.879 0.482 O
0.907 0.212 0.163 O
0.907 0.788 0.663 O
0.926 0.403 0.080 O
0.926 0.597 0.580 O
0.987 0.437 0.613 O
0.987 0.563 0.113 O